## NaSn3 (meta-GGA r2SCAN)

Data for an optimized crystal structure of NaSn3.

Computed properties:
magnetic moment: 0.00 μB/cell
calculated volume: 105.05 Å³/cell
energy relative to the elements: -34 meV per atom
uncorrected energy: -77.94 eV per cell

Unit cell a=5.850 b=5.850 c=5.850 alpha=133.04 beta=133.04 gamma=68.60
Sites, in units of the cell vectors:
Na: 0.000 0.000 0.000
Sn: 0.250 0.750 0.500
Sn: 0.500 0.500 0.000
Sn: 0.750 0.250 0.500